The following is a PBE calculation of a geometry-optimized Sr7MnN6 structure, from the Materials Project.

Values from the calculation:
The calculation puts the formation energy at -0.7430 eV per atom. Its energy is -79.24 eV per formula unit. Its volume is 19.4 Å³/atom.

Lattice parameters (Å, degrees): 11.843 6.715 13.665 90.00 90.00 90.00
Atoms (fractional coordinates):
Sr1 0.037 0.735 0.979
Sr2 0.463 0.765 0.479
Sr3 0.537 0.765 0.021
Sr4 0.963 0.735 0.521
Sr5 0.963 0.265 0.021
Sr6 0.537 0.235 0.521
Sr7 0.463 0.235 0.979
Sr8 0.037 0.265 0.479
Sr9 0.218 0.862 0.621
Sr10 0.282 0.638 0.121
Sr11 0.718 0.638 0.379
Sr12 0.782 0.862 0.879
Sr13 0.782 0.138 0.379
Sr14 0.718 0.362 0.879
Sr15 0.282 0.362 0.621
Sr16 0.218 0.138 0.121
Sr17 0.292 0.615 0.870
Sr18 0.208 0.885 0.370
Sr19 0.792 0.885 0.130
Sr20 0.708 0.615 0.630
Sr21 0.708 0.385 0.130
Sr22 0.792 0.115 0.630
Sr23 0.208 0.115 0.870
Sr24 0.292 0.385 0.370
Sr25 0.000 0.435 0.750
Sr26 0.500 0.065 0.250
Sr27 0.000 0.565 0.250
Sr28 0.500 0.935 0.750
Mn1 0.000 0.927 0.750
Mn2 0.500 0.573 0.250
Mn3 0.000 0.073 0.250
Mn4 0.500 0.427 0.750
N1 0.117 0.773 0.787
N2 0.383 0.727 0.287
N3 0.617 0.727 0.213
N4 0.883 0.773 0.713
N5 0.883 0.227 0.213
N6 0.617 0.273 0.713
N7 0.383 0.273 0.787
N8 0.117 0.227 0.287
N9 0.166 0.591 0.497
N10 0.334 0.909 0.997
N11 0.666 0.909 0.503
N12 0.834 0.591 0.003
N13 0.834 0.409 0.503
N14 0.666 0.091 0.003
N15 0.334 0.091 0.497
N16 0.166 0.409 0.997
N17 0.461 0.584 0.647
N18 0.039 0.916 0.147
N19 0.961 0.916 0.353
N20 0.539 0.584 0.853
N21 0.539 0.416 0.353
N22 0.961 0.084 0.853
N23 0.039 0.084 0.647
N24 0.461 0.416 0.147